The following is a DFT calculation (PBE+U) of a relaxed Ca2AlCrO5 crystal.

Unit cell a=8.1432 b=8.1432 c=8.1432 alpha=57.72 beta=139.06 gamma=141.13
Fractional coordinates of all 18 atoms:
Ca1 0.0316 0.1086 0.1402
Ca2 0.0316 0.3914 0.4230
Ca3 0.9684 0.6086 0.5770
Ca4 0.9684 0.8914 0.8598
Al1 0.3875 0.7155 0.1720
Al2 0.5435 0.2155 0.8280
Cr1 0.5115 0.0115 0.5000
Cr2 0.5115 0.5115 0.0000
O1 0.0118 0.2741 0.7687
O2 0.0118 0.7430 0.2377
O3 0.2860 0.8871 0.8990
O4 0.4600 0.1759 0.5739
O5 0.4600 0.3861 0.7841
O6 0.5053 0.2430 0.2313
O7 0.5053 0.7741 0.7623
O8 0.6020 0.6759 0.2159
O9 0.6020 0.8861 0.4261
O10 0.9881 0.3871 0.1010

Results
* E_tot: -7.201 eV/atom
* energy of formation: -3122 meV per atom



The following is a DFT calculation (PBE+U) of a relaxed Ca6AlCr3Si6O24 crystal.

Unit cell a=10.4704 b=10.4704 c=12.1074 alpha=125.14 beta=125.14 gamma=70.65
Fractional coordinates of all 80 atoms:
Ca1 0.1252 0.6252 0.8750
Ca2 0.1250 0.8750 0.7500
Ca3 0.2498 0.2503 0.3748
Ca4 0.2503 0.2498 0.8748
Ca5 0.3754 0.6246 0.2500
Ca6 0.3748 0.8748 0.6250
Ca7 0.6252 0.1252 0.3750
Ca8 0.6246 0.3754 0.7500
Ca9 0.7497 0.7502 0.1252
Ca10 0.7502 0.7497 0.6252
Ca11 0.8750 0.1250 0.2500
Ca12 0.8748 0.3748 0.1250
Al1 0.0000 0.5000 0.5000
Al2 0.5000 0.0000 0.0000
Cr1 0.0000 0.0000 0.0000
Cr2 0.0000 0.0000 0.5000
Cr3 0.0000 0.5000 0.0000
Cr4 0.5000 0.0000 0.5000
Cr5 0.5000 0.5000 0.0000
Cr6 0.5000 0.5000 0.5000
Si1 0.1242 0.6235 0.3756
Si2 0.1253 0.8747 0.2500
Si3 0.2479 0.2520 0.6238
Si4 0.2520 0.2479 0.1238
Si5 0.3731 0.6269 0.7500
Si6 0.3765 0.8758 0.1244
Si7 0.6235 0.1242 0.8756
Si8 0.6269 0.3731 0.2500
Si9 0.7480 0.7521 0.8762
Si10 0.7521 0.7480 0.3762
Si11 0.8747 0.1253 0.7500
Si12 0.8758 0.3765 0.6244
O1 0.0087 0.4134 0.8051
O2 0.0096 0.0872 0.7035
O3 0.0834 0.4920 0.3870
O4 0.0872 0.0096 0.2035
O5 0.1052 0.3036 0.4924
O6 0.1076 0.2029 0.1156
O7 0.1163 0.6942 0.1070
O8 0.1161 0.8056 0.5094
O9 0.1892 0.6138 0.6967
O10 0.1944 0.8839 0.9906
O11 0.2029 0.1076 0.6156
O12 0.2036 0.3919 0.0864
O13 0.2963 0.3932 0.8056
O14 0.3037 0.1052 0.9924
O15 0.3051 0.6155 0.4128
O16 0.3058 0.8837 0.3930
O17 0.3845 0.6949 0.0872
O18 0.3862 0.8108 0.8033
O19 0.3919 0.2036 0.5864
O20 0.3932 0.2963 0.3056
O21 0.4123 0.4924 0.6077
O22 0.4134 0.0087 0.3051
O23 0.4920 0.0834 0.8870
O24 0.4924 0.4123 0.1077
O25 0.5076 0.5877 0.8923
O26 0.5080 0.9166 0.1130
O27 0.5866 0.9913 0.6949
O28 0.5877 0.5076 0.3923
O29 0.6068 0.7037 0.6944
O30 0.6081 0.7964 0.4136
O31 0.6138 0.1892 0.1967
O32 0.6155 0.3051 0.9128
O33 0.6942 0.1163 0.6070
O34 0.6949 0.3845 0.5872
O35 0.6963 0.8948 0.0076
O36 0.7037 0.6068 0.1944
O37 0.7964 0.6081 0.9136
O38 0.7971 0.8924 0.3844
O39 0.8056 0.1161 0.0094
O40 0.8108 0.3862 0.3033
O41 0.8839 0.1944 0.4906
O42 0.8837 0.3058 0.8930
O43 0.8924 0.7971 0.8844
O44 0.8948 0.6963 0.5076
O45 0.9128 0.9904 0.7965
O46 0.9166 0.5080 0.6130
O47 0.9904 0.9128 0.2965
O48 0.9913 0.5866 0.1949

Results
* E_tot: -7.593 eV/atom
* energy of formation: -3254 meV per atom



The following is a DFT calculation (PBE+U) of a relaxed Ca4Y2Al7Cr2SiO24 crystal.

Unit cell a=10.5151 b=10.5331 c=10.5339 alpha=109.44 beta=109.22 gamma=109.58
Fractional coordinates of all 80 atoms:
Ca1 0.0000 0.0000 0.0000
Ca2 0.0017 0.1271 0.3803
Ca3 0.2517 0.6346 0.1331
Ca4 0.5021 0.1331 0.8851
Ca5 0.5054 0.5056 0.0084
Ca6 0.7495 0.2527 0.5023
Ca7 0.8756 0.5077 0.1312
Ca8 0.8776 0.0023 0.6335
Y1 0.2555 0.7622 0.5111
Y2 0.3768 0.2495 0.3789
Y3 0.3795 0.7608 0.8802
Y4 0.7531 0.6275 0.6266
Al1 0.0006 0.5078 0.5095
Al2 0.0028 0.6353 0.8854
Al3 0.1261 0.8792 0.2532
Al4 0.1308 0.8831 0.7577
Al5 0.2531 0.1261 0.6258
Al6 0.2545 0.2510 0.0023
Al7 0.3758 0.0060 0.1301
Al8 0.3784 0.5082 0.6301
Al9 0.4993 0.0030 0.5038
Al10 0.5054 0.6313 0.3840
Al11 0.6269 0.3785 0.2557
Al12 0.6266 0.8831 0.7563
Al13 0.7461 0.1291 0.1275
Al14 0.8744 0.2497 0.8801
Cr1 0.1246 0.3781 0.2524
Cr2 0.1261 0.3787 0.7564
Cr3 0.6267 0.3783 0.7552
Cr4 0.6284 0.8803 0.2579
Si1 0.7530 0.7551 0.0045
Si2 0.8773 0.7535 0.3819
O1 0.0045 0.7746 0.8251
O2 0.0176 0.3671 0.5644
O3 0.0223 0.7679 0.3452
O4 0.0285 0.3917 0.0767
O5 0.0473 0.6852 0.0775
O6 0.0524 0.4978 0.3599
O7 0.1124 0.0594 0.8536
O8 0.1164 0.1896 0.6451
O9 0.1436 0.5778 0.8676
O10 0.1487 0.7010 0.6565
O11 0.2064 0.0780 0.4320
O12 0.2118 0.2698 0.1596
O13 0.2266 0.9984 0.1772
O14 0.2296 0.3644 0.4341
O15 0.2356 0.3923 0.9457
O16 0.2438 0.9774 0.6717
O17 0.3024 0.8623 0.3587
O18 0.3067 0.5768 0.3390
O19 0.3207 0.9537 0.9344
O20 0.3238 0.4994 0.7724
O21 0.4263 0.7006 0.6738
O22 0.4315 0.8627 0.1349
O23 0.4475 0.2845 0.7689
O24 0.4504 0.3055 0.0630
O25 0.5086 0.9562 0.6520
O26 0.5126 0.6850 0.2406
O27 0.5244 0.1998 0.2728
O28 0.5268 0.4605 0.6334
O29 0.5419 0.1976 0.5538
O30 0.5447 0.4777 0.3741
O31 0.6069 0.9746 0.9356
O32 0.6181 0.7649 0.0517
O33 0.6424 0.9939 0.4509
O34 0.6453 0.7753 0.5808
O35 0.7120 0.2850 0.1454
O36 0.7122 0.5740 0.9561
O37 0.7301 0.3035 0.8713
O38 0.7343 0.5741 0.2520
O39 0.7374 0.7887 0.8587
O40 0.7448 0.0723 0.2702
O41 0.8063 0.4825 0.7402
O42 0.8078 0.4643 0.4575
O43 0.8217 0.0586 0.8391
O44 0.8293 0.8864 0.3721
O45 0.9272 0.7913 0.5628
O46 0.9327 0.8849 0.1472
O47 0.9344 0.2690 0.7433
O48 0.9493 0.1919 0.1786

Results
* E_tot: -7.521 eV/atom
* energy of formation: -3267 meV per atom



The following is a DFT calculation (PBE+U) of a relaxed Na2CaMnAl2P2H2O10F4 crystal.

Unit cell a=7.3466 b=9.0934 c=9.0934 alpha=74.93 beta=74.72 gamma=106.20
Fractional coordinates of all 48 atoms:
O1 0.4855 0.2370 0.5231
O2 0.5145 0.7630 0.4769
O3 0.7821 0.8784 0.1962
Mn1 0.5000 0.0000 0.0000
O4 0.2179 0.6216 0.3038
F1 0.8479 0.3483 0.1535
Na1 0.9626 0.6211 0.1326
F2 0.1652 0.4109 0.5920
Al1 0.0000 0.2500 0.2500
O5 0.5051 0.0127 0.7537
O6 0.0807 0.1821 0.0689
O7 0.4855 0.7370 0.0231
H1 0.2307 0.2285 0.0213
O8 0.5145 0.2630 0.9769
H2 0.7693 0.7715 0.9787
Na2 0.0374 0.8789 0.3674
O9 0.2328 0.9457 0.6316
Al2 0.0000 0.5000 0.5000
Ca1 0.5000 0.7500 0.7500
F3 0.8348 0.5891 0.4080
O10 0.7672 0.0543 0.3684
Mn2 0.5000 0.5000 0.5000
Na3 0.0374 0.3789 0.8674
Na4 0.9626 0.1211 0.6326
F4 0.1652 0.9109 0.0920
F5 0.1521 0.6517 0.8465
O11 0.9193 0.3179 0.4311
O12 0.9193 0.8179 0.9311
O13 0.2179 0.1216 0.8038
P1 0.3624 0.5795 0.1788
Al3 0.0000 0.0000 0.0000
Al4 0.0000 0.7500 0.7500
F6 0.1521 0.1517 0.3465
P2 0.3624 0.0795 0.6788
O14 0.5051 0.5127 0.2537
F7 0.8348 0.0891 0.9080
H3 0.7693 0.2715 0.4787
O15 0.4949 0.4873 0.7463
O16 0.7821 0.3784 0.6962
O17 0.0807 0.6821 0.5689
O18 0.2328 0.4457 0.1316
O19 0.4949 0.9873 0.2463
O20 0.7672 0.5543 0.8684
P3 0.6376 0.4205 0.8212
H4 0.2307 0.7285 0.5213
F8 0.8479 0.8483 0.6535
P4 0.6376 0.9205 0.3212
Ca2 0.5000 0.2500 0.2500

Results
* E_tot: -6.504 eV/atom
* energy of formation: -2935 meV per atom



The following is a DFT calculation (PBE+U) of a relaxed Ca4Al5FeSi6H2O26 crystal.

Unit cell a=8.9763 b=5.6800 c=10.2644 alpha=90.00 beta=115.31 gamma=90.00
Fractional coordinates of all 44 atoms:
Ca1 0.0000 0.0000 0.0000
Ca2 0.1513 0.0000 0.7317
Ca3 0.6318 0.5000 0.4214
Ca4 0.7826 0.5000 0.1551
Al1 0.1029 0.0000 0.3526
Al2 0.3885 0.2499 0.5764
Al3 0.3885 0.7501 0.5764
Al4 0.3929 0.2494 0.0785
Al5 0.3929 0.7506 0.0785
Fe1 0.6827 0.5000 0.7989
Si1 0.0526 0.5000 0.5293
Si2 0.0776 0.5000 0.8535
Si3 0.2089 0.5000 0.2622
Si4 0.5734 0.0000 0.8950
Si5 0.7144 0.0000 0.3041
Si6 0.7293 0.0000 0.6250
H1 0.3315 0.0000 0.2522
H2 0.4533 0.5000 0.9048
O1 0.0251 0.5000 0.6788
O2 0.0926 0.2627 0.2285
O3 0.0926 0.7373 0.2285
O4 0.1552 0.2531 0.5329
O5 0.1552 0.7469 0.5329
O6 0.1863 0.2623 0.9205
O7 0.1863 0.7377 0.9205
O8 0.3112 0.0000 0.1503
O9 0.3287 0.5000 0.1746
O10 0.3318 0.0000 0.4461
O11 0.3524 0.5000 0.4340
O12 0.4318 0.0000 0.7220
O13 0.4382 0.5000 0.7058
O14 0.4537 0.0000 0.9814
O15 0.4739 0.5000 0.0068
O16 0.6024 0.2350 0.2343
O17 0.6024 0.7650 0.2343
O18 0.6228 0.2441 0.6181
O19 0.6228 0.7559 0.6181
O20 0.6943 0.2315 0.9345
O21 0.6943 0.7685 0.9345
O22 0.7579 0.0000 0.4769
O23 0.8744 0.5000 0.3981
O24 0.8824 0.0000 0.2833
O25 0.9069 0.0000 0.7571
O26 0.9176 0.5000 0.8865

Results
* E_tot: -7.336 eV/atom
* energy of formation: -3175 meV per atom



The following is a DFT calculation (PBE+U) of a relaxed Ca8Al9Fe3Si12H4O52 crystal.

Unit cell a=10.3458 b=5.6989 c=16.3014 alpha=90.00 beta=98.36 gamma=90.00
Fractional coordinates of all 88 atoms:
Ca1 0.0000 0.0000 0.0000
Ca2 0.0298 0.5000 0.1834
Ca3 0.0607 0.0000 0.7895
Ca4 0.4696 0.5000 0.8936
Ca5 0.5000 0.0000 0.5000
Ca6 0.5296 0.5000 0.6838
Ca7 0.5600 0.0000 0.2895
Ca8 0.9698 0.5000 0.3939
Al1 0.0170 0.2494 0.5922
Al2 0.0170 0.7506 0.5922
Al3 0.2649 0.2501 0.3419
Al4 0.2649 0.7499 0.3419
Al5 0.2744 0.0000 0.6240
Al6 0.5148 0.2500 0.0917
Al7 0.5148 0.7500 0.0917
Al8 0.7644 0.2496 0.8416
Al9 0.7644 0.7504 0.8416
Fe1 0.2570 0.5000 0.0566
Fe2 0.7575 0.5000 0.5570
Fe3 0.7727 0.0000 0.1268
Si1 0.0346 0.5000 0.8863
Si2 0.2086 0.5000 0.7369
Si3 0.2640 0.0000 0.1593
Si4 0.2658 0.5000 0.5257
Si5 0.3217 0.0000 0.9460
Si6 0.4916 0.0000 0.7945
Si7 0.5346 0.5000 0.3865
Si8 0.7081 0.5000 0.2373
Si9 0.7644 0.0000 0.6592
Si10 0.7657 0.5000 0.0242
Si11 0.8217 0.0000 0.4461
Si12 0.9952 0.0000 0.2970
H1 0.2048 0.0000 0.4564
H2 0.3250 0.5000 0.2274
H3 0.7045 0.0000 0.9561
H4 0.8251 0.5000 0.7274
O1 0.0826 0.2370 0.3197
O2 0.0826 0.7630 0.3197
O3 0.0968 0.5000 0.9826
O4 0.1078 0.5000 0.5396
O5 0.1120 0.0000 0.5570
O6 0.1506 0.5000 0.8266
O7 0.1543 0.2542 0.6879
O8 0.1543 0.7458 0.6879
O9 0.1670 0.0000 0.9246
O10 0.1846 0.2312 0.1183
O11 0.1846 0.7688 0.1183
O12 0.2525 0.5000 0.4226
O13 0.2590 0.5000 0.2654
O14 0.2707 0.0000 0.4183
O15 0.2786 0.0000 0.2622
O16 0.3409 0.2633 0.5673
O17 0.3409 0.7367 0.5673
O18 0.3632 0.5000 0.7594
O19 0.3787 0.0000 0.8564
O20 0.3785 0.2438 0.9953
O21 0.3785 0.7562 0.9953
O22 0.4215 0.0000 0.1439
O23 0.4223 0.0000 0.6991
O24 0.4258 0.5000 0.1305
O25 0.4472 0.2630 0.3640
O26 0.4472 0.7370 0.3640
O27 0.5814 0.2349 0.8180
O28 0.5814 0.7651 0.8180
O29 0.5967 0.5000 0.4828
O30 0.6040 0.0000 0.0531
O31 0.6083 0.5000 0.0397
O32 0.6512 0.2561 0.1882
O33 0.6510 0.5000 0.3271
O34 0.6512 0.7439 0.1882
O35 0.6670 0.0000 0.4246
O36 0.6845 0.2309 0.6182
O37 0.6845 0.7691 0.6182
O38 0.7506 0.5000 0.9212
O39 0.7589 0.5000 0.7652
O40 0.7705 0.0000 0.9183
O41 0.7788 0.0000 0.7620
O42 0.8451 0.2690 0.0653
O43 0.8451 0.7310 0.0653
O44 0.8627 0.5000 0.2591
O45 0.8788 0.0000 0.3564
O46 0.8796 0.2428 0.4955
O47 0.8796 0.7572 0.4955
O48 0.9219 0.0000 0.6435
O49 0.9264 0.5000 0.6305
O50 0.9329 0.0000 0.2009
O51 0.9470 0.2630 0.8640
O52 0.9470 0.7370 0.8640

Results
* E_tot: -7.316 eV/atom
* energy of formation: -3127 meV per atom